No. 1
Below is an optimized crystal structure of YCo2S4, with properties calculated at the PBE level.

Results
M_tot = 4.0 μB per cell
Calculated volume = 18.2 Å³ per atom
Excess energy over the best structure of this formula in the dataset = 0.00 kJ per mole of atoms

abc: 6.886 7.584 9.734
angles: 90.00 90.00 90.00
Space group Imma (No. 74)
Inequivalent atoms, fractional coordinates:
Y 0.000 0.000 0.000 x4
Co 0.000 0.000 0.500 x4
Co 0.250 0.250 0.250 x4
S 0.000 0.048 0.273 x8
S 0.221 0.250 0.490 x8

***

No. 2
Below is an optimized crystal structure of Zn3CoS4, with properties calculated at the PBE level.

Results
M_tot = 3.0 μB per cell
Calculated volume = 19.7 Å³ per atom

abc: 3.823 3.823 10.791
angles: 90.00 90.00 90.00
Space group P-4m2 (No. 115)
Inequivalent atoms, fractional coordinates:
Zn 0.000 0.000 0.000 x1
Zn 0.500 0.500 0.253 x2
Co 0.000 0.000 0.500 x1
S 0.000 0.500 0.126 x2
S 0.000 0.500 0.619 x2

***

No. 3
Below is an optimized crystal structure of ZnCo2S4, with properties calculated at the PBE level.

Results
M_tot = 0.0 μB per cell
Calculated volume = 16.2 Å³ per atom
Excess energy over the best structure of this formula in the dataset = 16.35 kJ per mole of atoms

abc: 6.864 6.915 9.546
angles: 90.00 90.00 90.00
Space group Imma (No. 74)
Inequivalent atoms, fractional coordinates:
Zn 0.000 0.000 0.000 x4
Co 0.000 0.000 0.500 x4
Co 0.250 0.250 0.250 x4
S 0.000 0.036 0.257 x8
S 0.221 0.250 0.483 x8

***

No. 4
Below is an optimized crystal structure of ZnCo2S4, with properties calculated at the PBE level.

Results
M_tot = 0.0 μB per cell
Calculated volume = 15.9 Å³ per atom
Excess energy over the best structure of this formula in the dataset = 0.00 kJ per mole of atoms

abc: 9.625 9.625 9.625
angles: 90.00 90.00 90.00
Space group Fd-3m (No. 227, origin choice 2)
Inequivalent atoms, fractional coordinates:
Zn 0.125 0.125 0.125 x8
Co 0.000 0.000 0.500 x16
S 0.016 0.016 0.734 x32

***

No. 5
Below is an optimized crystal structure of Zr2CoS4, with properties calculated at the PBE level.

Results
Calculated volume = 19.4 Å³ per atom

abc: 13.354 3.652 6.305
angles: 90.00 117.88 90.00
Space group Cm (No. 8)
Inequivalent atoms, fractional coordinates:
Zr 0.000 0.000 0.000 x2
Zr 0.002 0.500 0.490 x2
Co 0.326 0.000 0.986 x2
S 0.129 0.500 0.288 x2
S 0.130 0.000 0.785 x2
S 0.367 0.500 0.196 x2
S 0.375 0.000 0.694 x2

***

No. 6
Below is an optimized crystal structure of CoSb2, with properties calculated at the PBE level.

Results
Calculated volume = 20.5 Å³ per atom

abc: 5.626 6.422 3.399
angles: 90.00 90.00 90.00
Space group Pnnm (No. 58)
Inequivalent atoms, fractional coordinates:
Co 0.000 0.000 0.000 x2
Sb 0.201 0.357 0.000 x4

***

No. 7
Below is an optimized crystal structure of CoSb2, with properties calculated at the PBE level.

Results
Calculated volume = 20.4 Å³ per atom

abc: 6.536 6.413 6.579
angles: 90.00 117.20 90.00
Space group P2_1/c (No. 14)
Inequivalent atoms, fractional coordinates:
Co 0.229 0.001 0.217 x4
Sb 0.151 0.644 0.334 x4
Sb 0.353 0.140 0.630 x4

***

No. 8
Below is an optimized crystal structure of Sc4Co3Sb4, with properties calculated at the PBE level.

Results
Calculated volume = 19.6 Å³ per atom

abc: 6.874 4.294 7.322
angles: 90.00 90.41 90.00
Space group Pm (No. 6)
Inequivalent atoms, fractional coordinates:
Sc 0.000 0.000 0.000 x1
Sc 0.001 0.500 0.444 x1
Sc 0.497 0.000 0.941 x1
Sc 0.511 0.500 0.507 x1
Co 0.355 0.500 0.155 x1
Co 0.648 0.000 0.293 x1
Co 0.849 0.500 0.793 x1
Sb 0.225 0.500 0.812 x1
Sb 0.268 0.000 0.325 x1
Sb 0.731 0.500 0.124 x1
Sb 0.772 0.000 0.630 x1

***

No. 9
Below is an optimized crystal structure of SmCoSb3, with properties calculated at the PBE level.

Results
M_tot = 0.0 μB per cell
Calculated volume = 23.6 Å³ per atom

abc: 12.597 6.183 12.107
angles: 90.00 90.00 90.00
Space group Pbcm (No. 57)
Inequivalent atoms, fractional coordinates:
Sm 0.196 0.222 0.250 x4
Sm 0.200 0.750 0.000 x4
Co 0.400 0.037 0.636 x8
Sb 0.003 0.014 0.624 x8
Sb 0.277 0.250 0.000 x4
Sb 0.283 0.733 0.250 x4
Sb 0.444 0.115 0.250 x4
Sb 0.472 0.750 0.000 x4

***

No. 10
Below is an optimized crystal structure of SmCoSb2, with properties calculated at the PBE level.

Results
M_tot = 1.5 μB per cell
Calculated volume = 23.0 Å³ per atom

abc: 4.365 4.365 9.672
angles: 90.00 90.00 90.00
Space group P4/nmm (No. 129, origin choice 2)
Inequivalent atoms, fractional coordinates:
Sm 0.250 0.250 0.243 x2
Co 0.250 0.750 0.000 x2
Sb 0.250 0.250 0.865 x2
Sb 0.250 0.750 0.500 x2

***

No. 11
Below is an optimized crystal structure of Co10SnSb30, with properties calculated at the PBE level.

Results
M_tot = 0.2 μB per cell
Calculated volume = 23.2 Å³ per atom

abc: 12.914 9.127 32.891
angles: 90.00 101.27 90.00
Space group C2/m (No. 12)
Inequivalent atoms, fractional coordinates:
Co 0.050 0.250 0.100 x8
Co 0.050 0.250 0.600 x8
Co 0.150 0.250 0.300 x8
Co 0.150 0.250 0.800 x8
Co 0.250 0.250 0.000 x4
Co 0.250 0.250 0.500 x4
Sn 0.200 0.000 0.400 x4
Sb 0.001 0.160 0.667 x8
Sb 0.029 0.000 0.565 x4
Sb 0.036 0.166 0.232 x8
Sb 0.038 0.000 0.901 x4
Sb 0.062 0.500 0.299 x4
Sb 0.064 0.334 0.968 x8
Sb 0.070 0.500 0.635 x4
Sb 0.100 0.341 0.533 x8
Sb 0.100 0.341 0.867 x8
Sb 0.129 0.500 0.765 x4
Sb 0.136 0.333 0.432 x8
Sb 0.138 0.500 0.101 x4
Sb 0.162 0.000 0.498 x4
Sb 0.164 0.166 0.168 x8
Sb 0.171 0.000 0.835 x4
Sb 0.200 0.159 0.067 x8
Sb 0.200 0.159 0.733 x8
Sb 0.229 0.000 0.965 x4
Sb 0.237 0.167 0.632 x8
Sb 0.238 0.000 0.301 x4

***

No. 12
Below is an optimized crystal structure of Co4SnSb12, with properties calculated at the PBE level.

Results
M_tot = 0.4 μB per cell
Calculated volume = 22.9 Å³ per atom

abc: 9.198 9.198 9.198
angles: 90.00 90.00 90.00
Space group Im-3 (No. 204)
Inequivalent atoms, fractional coordinates:
Co 0.250 0.250 0.250 x8
Sn 0.000 0.000 0.000 x2
Sb 0.000 0.160 0.332 x24

***

no.,DFT total energy (eV per atom),ΔH_f (0 K) (meV/atom),E (MP2020) (eV per atom)
1,-6.15,-1117,-6.4351
2,-4.05,-874,-4.3030
3,-4.91,-627,-5.2014
4,-5.08,-796,-5.3709
5,-7.11,-1577,-7.3981
6,-5.29,-296,-5.4182
7,-5.30,-305,-5.4266
8,-6.43,-755,-6.4982
9,-5.41,-678,-5.5204
10,-5.64,-718,-5.7393
11,-5.01,-297,-5.1498
12,-4.94,-254,-5.0771